Record 1
The following is a r²SCAN calculation of crystalline Li3AlF6 at its relaxed geometry, from Materials Project.

Properties
E_tot in eV/cell: -405.1
Offset from the most stable computed form in kJ per mole of atoms: 0.0
ΔH_f (0 K) in eV/atom: -3.49

Cell and atoms, written as POSCAR:
```
Li3AlF6
1.0
8.136 -0.029 0.557
3.887 7.148 0.557
0.071 0.042 9.738
Li F Al
18 36 6
direct
0.343 0.061 0.568
0.939 0.657 0.932
0.371 0.673 0.463
0.629 0.327 0.537
0.124 0.541 0.552
0.061 0.343 0.068
0.007 0.710 0.268
0.710 0.007 0.768
0.657 0.939 0.432
0.813 0.187 0.250
0.187 0.813 0.750
0.459 0.876 0.948
0.876 0.459 0.448
0.993 0.290 0.732
0.290 0.993 0.232
0.541 0.124 0.052
0.673 0.371 0.963
0.327 0.629 0.037
0.426 0.411 0.930
0.887 0.585 0.109
0.415 0.113 0.391
0.437 0.751 0.799
0.575 0.887 0.114
0.574 0.589 0.070
0.589 0.574 0.570
0.448 0.754 0.304
0.754 0.448 0.804
0.920 0.232 0.562
0.425 0.113 0.886
0.088 0.769 0.937
0.585 0.887 0.609
0.552 0.246 0.696
0.232 0.920 0.062
0.729 0.768 0.834
0.933 0.925 0.662
0.768 0.729 0.334
0.271 0.232 0.166
0.751 0.437 0.299
0.113 0.425 0.386
0.249 0.563 0.701
0.411 0.426 0.430
0.232 0.271 0.666
0.231 0.912 0.563
0.768 0.080 0.938
0.563 0.249 0.201
0.887 0.575 0.614
0.075 0.067 0.838
0.246 0.552 0.196
0.080 0.768 0.438
0.067 0.075 0.338
0.769 0.088 0.437
0.925 0.933 0.162
0.113 0.415 0.891
0.912 0.231 0.063
0.659 0.665 0.704
0.000 0.000 0.500
0.665 0.659 0.204
0.341 0.335 0.296
0.000 0.000 0.000
0.335 0.341 0.796
```

Record 2
The following is a r²SCAN calculation of crystalline Na3Li3Al2F12 at its relaxed geometry, from Materials Project.

Properties
E_tot in eV/cell: -552.1
ΔH_f (0 K) in eV/atom: -3.46

Cell and atoms, written as POSCAR:
```
Na3Li3Al2F12
1.0
8.223 -2.986 5.589
-0.709 10.356 0.149
-8.622 -4.118 4.058
F Li Al Na
48 12 8 12
direct
0.516 0.611 0.687
0.905 0.389 0.576
0.889 0.405 0.076
0.924 0.111 0.595
0.076 0.889 0.405
0.924 0.313 0.329
0.313 0.484 0.389
0.984 0.671 0.095
0.889 0.984 0.813
0.687 0.671 0.076
0.095 0.611 0.424
0.095 0.984 0.671
0.813 0.424 0.829
0.187 0.111 0.016
0.829 0.516 0.405
0.813 0.889 0.984
0.424 0.829 0.813
0.016 0.187 0.111
0.905 0.016 0.329
0.171 0.187 0.576
0.313 0.329 0.924
0.595 0.171 0.484
0.595 0.924 0.111
0.984 0.813 0.889
0.671 0.095 0.984
0.611 0.687 0.516
0.016 0.329 0.905
0.171 0.484 0.595
0.111 0.595 0.924
0.389 0.313 0.484
0.111 0.016 0.187
0.076 0.687 0.671
0.576 0.905 0.389
0.389 0.576 0.905
0.329 0.905 0.016
0.187 0.576 0.171
0.484 0.595 0.171
0.671 0.076 0.687
0.405 0.076 0.889
0.484 0.389 0.313
0.611 0.424 0.095
0.687 0.516 0.611
0.576 0.171 0.187
0.516 0.405 0.829
0.424 0.095 0.611
0.405 0.829 0.516
0.329 0.924 0.313
0.829 0.813 0.424
0.250 0.125 0.875
0.625 0.375 0.250
0.875 0.250 0.125
0.375 0.625 0.750
0.125 0.875 0.250
0.625 0.750 0.375
0.750 0.375 0.625
0.375 0.250 0.625
0.250 0.625 0.375
0.750 0.875 0.125
0.875 0.125 0.750
0.125 0.750 0.875
0.000 0.000 0.000
0.000 0.000 0.500
0.000 0.500 0.000
0.500 0.500 0.000
0.500 0.500 0.500
0.500 0.000 0.500
0.500 0.000 0.000
0.000 0.500 0.500
0.750 0.125 0.375
0.375 0.750 0.125
0.875 0.750 0.625
0.250 0.875 0.625
0.125 0.250 0.375
0.875 0.625 0.250
0.625 0.250 0.875
0.625 0.875 0.750
0.750 0.625 0.875
0.250 0.375 0.125
0.125 0.375 0.750
0.375 0.125 0.250
```

Record 3
The following is a r²SCAN calculation of crystalline Na5Al3F14 at its relaxed geometry, from Materials Project.

Properties
E_tot in eV/cell: -318.3
ΔH_f (0 K) in eV/atom: -3.52

Cell and atoms, written as POSCAR:
```
Na5Al3F14
1.0
6.921 0.000 0.000
0.000 6.921 0.000
0.000 0.000 10.341
F Na Al
28 10 6
direct
0.319 0.043 0.621
0.925 0.752 0.000
0.457 0.181 0.121
0.752 0.075 0.000
0.043 0.681 0.621
0.681 0.957 0.379
0.248 0.925 0.000
0.819 0.457 0.121
0.748 0.575 0.500
0.181 0.543 0.121
0.043 0.681 0.379
0.500 0.500 0.326
0.319 0.043 0.379
0.075 0.248 0.000
0.457 0.181 0.879
0.575 0.252 0.500
0.181 0.543 0.879
0.957 0.319 0.379
0.000 0.000 0.826
0.543 0.819 0.879
0.252 0.425 0.500
0.543 0.819 0.121
0.819 0.457 0.879
0.957 0.319 0.621
0.500 0.500 0.674
0.681 0.957 0.621
0.000 0.000 0.174
0.425 0.748 0.500
0.218 0.282 0.750
0.782 0.718 0.750
0.500 0.500 0.000
0.000 0.000 0.500
0.282 0.782 0.750
0.218 0.282 0.250
0.282 0.782 0.250
0.782 0.718 0.250
0.718 0.218 0.750
0.718 0.218 0.250
0.000 0.000 0.000
0.500 0.500 0.500
0.500 0.000 0.500
0.000 0.500 0.500
0.000 0.500 0.000
0.500 0.000 0.000
```

Record 4
The following is a r²SCAN calculation of crystalline Na2AlNiF7 at its relaxed geometry, from Materials Project.

Properties
E_tot in eV/cell: -163.5
ΔH_f (0 K) in eV/atom: -3.09

Cell and atoms, written as POSCAR:
```
Na2AlNiF7
1.0
2.662 3.702 5.449
-4.647 5.201 -1.355
-2.188 -6.655 1.203
F Na Ni Al
14 4 2 2
direct
0.323 0.076 0.624
0.952 0.199 0.376
0.048 0.801 0.624
0.048 0.424 0.247
0.874 0.750 0.124
0.677 0.301 0.753
0.362 0.085 0.278
0.126 0.250 0.876
0.677 0.924 0.376
0.693 0.416 0.278
0.307 0.584 0.722
0.952 0.576 0.753
0.638 0.915 0.722
0.323 0.699 0.247
0.000 0.000 0.000
0.500 0.000 0.000
0.500 0.500 0.000
0.500 0.500 0.500
0.000 0.000 0.500
0.000 0.500 0.000
0.500 0.000 0.500
0.000 0.500 0.500
```

Record 5
The following is a r²SCAN calculation of crystalline RbNa2AlF6 at its relaxed geometry, from Materials Project.

Properties
E_tot in eV/cell: -78.1
ΔH_f (0 K) in eV/atom: -3.15

Cell and atoms, written as POSCAR:
```
RbNa2AlF6
1.0
0.000 4.339 4.339
4.339 0.000 4.339
4.339 4.339 0.000
F Na Al Rb
6 2 1 1
direct
0.207 0.207 0.793
0.207 0.793 0.207
0.207 0.793 0.793
0.793 0.207 0.793
0.793 0.207 0.207
0.793 0.793 0.207
0.750 0.750 0.750
0.250 0.250 0.250
0.000 0.000 0.000
0.500 0.500 0.500
```

Record 6
The following is a r²SCAN calculation of crystalline RbAlNiF6 at its relaxed geometry, from Materials Project.

Properties
E_tot in eV/cell: -160.2
ΔH_f (0 K) in eV/atom: -3.19

Cell and atoms, written as POSCAR:
```
RbAlNiF6
1.0
5.811 3.942 0.240
-3.919 5.771 -0.837
-1.365 -4.471 5.245
F Al Ni Rb
12 2 2 2
direct
0.338 0.588 0.750
0.304 0.587 0.144
0.944 0.161 0.356
0.056 0.413 0.217
0.045 0.795 0.250
0.056 0.839 0.644
0.696 0.839 0.283
0.696 0.413 0.856
0.304 0.161 0.717
0.955 0.205 0.750
0.662 0.412 0.250
0.944 0.587 0.783
0.000 0.500 0.000
0.000 0.000 0.500
0.000 0.500 0.500
0.500 0.500 0.000
0.373 0.123 0.250
0.627 0.877 0.750
```

Record 7
The following is a r²SCAN calculation of crystalline Al3O4F2 at its relaxed geometry, from Materials Project.

Properties
E_tot in eV/cell: -315.9
ΔH_f (0 K) in eV/atom: -3.18

Cell and atoms, written as POSCAR:
```
Al3O4F2
1.0
-0.116 1.581 4.540
-8.531 -0.270 -0.124
0.226 -8.486 2.960
Al O F
12 16 8
direct
0.386 0.750 0.433
0.577 0.922 0.131
0.614 0.250 0.567
0.077 0.078 0.369
0.114 0.750 0.933
0.077 0.422 0.369
0.423 0.422 0.869
0.886 0.250 0.067
0.923 0.578 0.631
0.577 0.578 0.131
0.923 0.922 0.631
0.423 0.078 0.869
0.966 0.250 0.257
0.280 0.250 0.469
0.302 0.586 0.988
0.802 0.086 0.512
0.720 0.750 0.531
0.198 0.586 0.488
0.034 0.750 0.743
0.780 0.750 0.031
0.802 0.414 0.512
0.466 0.750 0.243
0.220 0.250 0.969
0.534 0.250 0.757
0.698 0.414 0.012
0.198 0.914 0.488
0.302 0.914 0.988
0.698 0.086 0.012
0.388 0.056 0.253
0.612 0.556 0.747
0.112 0.056 0.753
0.388 0.444 0.253
0.612 0.944 0.747
0.888 0.556 0.247
0.112 0.444 0.753
0.888 0.944 0.247
```

Record 8
The following is a r²SCAN calculation of crystalline Al2Pb3F12 at its relaxed geometry, from Materials Project.

Properties
E_tot in eV/cell: -1096.1
ΔH_f (0 K) in eV/atom: -3.19

Cell and atoms, written as POSCAR:
```
Al2Pb3F12
1.0
9.541 0.000 0.000
0.000 9.406 0.036
0.000 9.266 10.075
F Pb Al
48 12 8
direct
0.264 0.160 0.050
0.736 0.840 0.950
0.729 0.563 0.199
0.985 0.635 0.210
0.796 0.903 0.094
0.405 0.800 0.339
0.785 0.262 0.966
0.485 0.365 0.290
0.177 0.982 0.306
0.138 0.550 0.445
0.967 0.220 0.342
0.271 0.437 0.801
0.704 0.903 0.594
0.982 0.915 0.951
0.323 0.982 0.806
0.771 0.563 0.699
0.905 0.200 0.161
0.515 0.635 0.710
0.018 0.085 0.049
0.419 0.434 0.437
0.918 0.840 0.283
0.533 0.220 0.842
0.638 0.450 0.055
0.229 0.437 0.301
0.595 0.200 0.661
0.236 0.160 0.550
0.082 0.160 0.717
0.715 0.262 0.466
0.581 0.566 0.563
0.862 0.450 0.555
0.033 0.780 0.658
0.467 0.780 0.158
0.919 0.566 0.063
0.764 0.840 0.450
0.823 0.018 0.694
0.518 0.915 0.451
0.081 0.434 0.937
0.204 0.097 0.906
0.677 0.018 0.194
0.296 0.097 0.406
0.582 0.840 0.783
0.418 0.160 0.217
0.362 0.550 0.945
0.095 0.800 0.839
0.015 0.365 0.790
0.215 0.738 0.034
0.285 0.738 0.534
0.482 0.085 0.549
0.003 0.709 0.502
0.503 0.291 0.998
0.620 0.652 0.331
0.283 0.771 0.714
0.120 0.348 0.169
0.783 0.229 0.786
0.717 0.229 0.286
0.497 0.709 0.002
0.217 0.771 0.214
0.880 0.652 0.831
0.997 0.291 0.498
0.380 0.348 0.669
0.639 0.729 0.582
0.351 0.946 0.372
0.851 0.054 0.128
0.649 0.054 0.628
0.361 0.271 0.418
0.861 0.729 0.082
0.139 0.271 0.918
0.149 0.946 0.872
```

Record 9
The following is a r²SCAN calculation of crystalline RbAlF4 at its relaxed geometry, from Materials Project.

Properties
E_tot in eV/cell: -110.0
ΔH_f (0 K) in eV/atom: -3.64

Cell and atoms, written as POSCAR:
```
RbAlF4
1.0
-3.409 1.810 -3.320
-2.060 -4.637 -0.412
-3.916 1.318 4.740
F Al Rb
8 2 2
direct
0.500 0.500 0.719
0.202 0.702 0.000
0.000 0.000 0.719
0.798 0.298 0.000
0.298 0.202 0.000
0.000 0.000 0.281
0.702 0.798 0.000
0.500 0.500 0.281
0.500 0.500 0.000
0.000 0.000 0.000
0.000 0.500 0.500
0.500 0.000 0.500
```

Record 10
The following is a r²SCAN calculation of crystalline RbAlF4 at its relaxed geometry, from Materials Project.

Properties
E_tot in eV/cell: -220.1
ΔH_f (0 K) in eV/atom: -3.64

Cell and atoms, written as POSCAR:
```
RbAlF4
1.0
-5.633 -2.397 1.296
1.671 -0.137 7.009
-2.660 6.664 0.764
F Rb Al
16 4 4
direct
0.970 0.500 0.706
0.720 0.772 0.254
0.970 0.500 0.294
0.720 0.228 0.254
0.280 0.728 0.246
0.990 0.706 0.000
0.010 0.206 0.500
0.280 0.272 0.246
0.720 0.228 0.746
0.280 0.728 0.754
0.280 0.272 0.754
0.990 0.294 0.000
0.720 0.772 0.746
0.030 0.000 0.206
0.030 0.000 0.794
0.010 0.794 0.500
0.521 0.500 0.500
0.530 0.500 0.000
0.470 0.000 0.500
0.479 0.000 0.000
0.000 0.750 0.750
0.000 0.250 0.750
0.000 0.250 0.250
0.000 0.750 0.250
```